Density functional theory data (PBE-GGA) for CeSbTe after structural relaxation.

Cell lengths 4.3796, 4.3796, 9.2932 Å; angles 90.00, 90.00, 90.00 degrees
Closest atoms and distances in Å follow each position.
Space group P4/nmm (No. 129, origin choice 2)
Unique sites:
Ce (0.2500, 0.2500, 0.2273) [2 per cell]  5 Te 3.22-3.34, 4 Sb 3.35
Sb (0.2500, 0.7500, 0.5000) [2 per cell]  4 Sb 3.10, 4 Ce 3.35
Te (0.2500, 0.2500, 0.8683) [2 per cell]  5 Ce 3.22-3.34

Calculated values
* calculated volume: 89 Å³/f.u.
* calculated total energy: -0.40740 Ry per atom